VASP calculation (PBE) on BaI2O after structural relaxation.

For the density, the calculation gives 4.8 g/cm³. The calculation puts the formation energy at -36.4 kcal/mol of atoms. The calculation puts the total energy at -0.1427 Ha/atom.

a b c (Å): 9.810 4.644 12.273
angles (deg): 90.00 90.00 90.00
Space group Pnma (No. 62)
Unique sites:
Ba 0.229 0.250 0.123 x4
I 0.049 0.750 0.343 x4
I 0.133 0.750 0.902 x4
O 0.153 0.250 0.650 x4